{"formula": "Mo12PN3O61", "functional": "PBE+U", "state": "relaxed", "lattice": [[10.973, 0.000, 0.000], [0.000, 10.973, 0.000], [0.000, 0.000, 10.973]], "species": ["Mo", "Mo", "Mo", "Mo", "Mo", "Mo", "Mo", "Mo", "Mo", "Mo", "Mo", "Mo", "P", "N", "N", "N", "O", "O", "O", "O", "O", "O", "O", "O", "O", "O", "O", "O", "O", "O", "O", "O", "O", "O", "O", "O", "O", "O", "O", "O", "O", "O", "O", "O", "O", "O", "O", "O", "O", "O", "O", "O", "O", "O", "O", "O", "O", "O", "O", "O", "O", "O", "O", "O", "O", "O", "O", "O", "O", "O", "O", "O", "O", "O", "O", "O", "O"], "fractional_positions": [[0.009, 0.233, 0.233], [0.009, 0.767, 0.767], [0.233, 0.009, 0.233], [0.233, 0.233, 0.009], [0.233, 0.767, 0.991], [0.233, 0.991, 0.767], [0.767, 0.009, 0.767], [0.767, 0.233, 0.991], [0.767, 0.767, 0.009], [0.767, 0.991, 0.233], [0.991, 0.233, 0.767], [0.991, 0.767, 0.233], [0.000, 0.000, 0.000], [0.000, 0.000, 0.500], [0.000, 0.500, 0.000], [0.500, 0.000, 0.000], [0.000, 0.500, 0.500], [0.016, 0.342, 0.658], [0.016, 0.658, 0.342], [0.082, 0.082, 0.082], [0.082, 0.918, 0.918], [0.108, 0.108, 0.724], [0.108, 0.276, 0.892], [0.108, 0.724, 0.108], [0.108, 0.892, 0.276], [0.137, 0.137, 0.310], [0.137, 0.310, 0.137], [0.137, 0.690, 0.863], [0.137, 0.863, 0.690], [0.196, 0.500, 0.500], [0.276, 0.108, 0.892], [0.276, 0.892, 0.108], [0.310, 0.137, 0.137], [0.310, 0.863, 0.863], [0.325, 0.325, 0.419], [0.325, 0.419, 0.325], [0.325, 0.581, 0.675], [0.325, 0.675, 0.581], [0.342, 0.016, 0.658], [0.342, 0.342, 0.984], [0.342, 0.658, 0.016], [0.342, 0.984, 0.342], [0.419, 0.325, 0.325], [0.419, 0.675, 0.675], [0.500, 0.000, 0.500], [0.500, 0.196, 0.500], [0.500, 0.500, 0.000], [0.500, 0.500, 0.196], [0.500, 0.500, 0.804], [0.500, 0.804, 0.500], [0.581, 0.325, 0.675], [0.581, 0.675, 0.325], [0.658, 0.016, 0.342], [0.658, 0.342, 0.016], [0.658, 0.658, 0.984], [0.658, 0.984, 0.658], [0.675, 0.325, 0.581], [0.675, 0.419, 0.675], [0.675, 0.581, 0.325], [0.675, 0.675, 0.419], [0.690, 0.137, 0.863], [0.690, 0.863, 0.137], [0.724, 0.108, 0.108], [0.724, 0.892, 0.892], [0.804, 0.500, 0.500], [0.863, 0.137, 0.690], [0.863, 0.310, 0.863], [0.863, 0.690, 0.137], [0.863, 0.863, 0.310], [0.892, 0.108, 0.276], [0.892, 0.276, 0.108], [0.892, 0.724, 0.892], [0.892, 0.892, 0.724], [0.918, 0.082, 0.918], [0.918, 0.918, 0.082], [0.984, 0.342, 0.342], [0.984, 0.658, 0.658]], "dft_energy_ev_per_atom": -5.77, "formation_energy_ev_per_atom": -0.27}


{"formula": "Li2V3SnO8", "functional": "PBE+U", "state": "relaxed", "lattice": [[5.243, -3.020, 0.000], [5.243, 3.020, 0.000], [-3.711, 0.000, 9.893]], "species": ["Li", "Li", "Li", "Li", "V", "V", "V", "V", "V", "V", "Sn", "Sn", "O", "O", "O", "O", "O", "O", "O", "O", "O", "O", "O", "O", "O", "O", "O", "O"], "fractional_positions": [[0.182, 0.687, 0.824], [0.246, 0.754, 0.500], [0.687, 0.182, 0.324], [0.754, 0.246, 0.000], [0.173, 0.189, 0.324], [0.189, 0.173, 0.824], [0.429, 0.929, 0.061], [0.652, 0.697, 0.821], [0.697, 0.652, 0.321], [0.929, 0.429, 0.561], [0.108, 0.611, 0.130], [0.611, 0.108, 0.630], [0.035, 0.557, 0.439], [0.043, 0.553, 0.928], [0.057, 0.092, 0.441], [0.092, 0.057, 0.941], [0.278, 0.314, 0.699], [0.314, 0.278, 0.199], [0.321, 0.811, 0.198], [0.341, 0.810, 0.709], [0.553, 0.043, 0.428], [0.557, 0.035, 0.939], [0.569, 0.587, 0.940], [0.587, 0.569, 0.440], [0.777, 0.816, 0.201], [0.810, 0.341, 0.209], [0.811, 0.321, 0.698], [0.816, 0.777, 0.701]], "dft_energy_ev_per_atom": -6.95, "formation_energy_ev_per_atom": -2.37, "de_polymorph_mev_per_atom": 59.3}


{"formula": "Na3MgNi2SbO6", "functional": "PBE+U", "state": "relaxed", "lattice": [[3.159, -5.308, 0.000], [3.159, 5.308, 0.000], [-0.079, 0.000, 5.745]], "species": ["Na", "Na", "Na", "Mg", "Ni", "Ni", "Sb", "O", "O", "O", "O", "O", "O"], "fractional_positions": [[0.000, 0.000, 0.000], [0.003, 0.439, 0.254], [0.439, 0.003, 0.254], [0.527, 0.527, 0.211], [0.510, 0.880, 0.794], [0.880, 0.510, 0.794], [0.361, 0.361, 0.635], [0.185, 0.736, 0.949], [0.224, 0.224, 0.307], [0.413, 0.680, 0.486], [0.642, 0.642, 0.902], [0.680, 0.413, 0.486], [0.736, 0.185, 0.949]], "dft_energy_ev_per_atom": -4.77, "formation_energy_ev_per_atom": -1.56}


{"formula": "LaVH2I4O15", "functional": "PBE+U", "state": "relaxed", "lattice": [[7.254, 0.000, 0.000], [0.000, 14.284, 0.000], [-3.166, 0.000, 6.643]], "species": ["La", "La", "V", "V", "H", "H", "H", "H", "I", "I", "I", "I", "I", "I", "I", "I", "O", "O", "O", "O", "O", "O", "O", "O", "O", "O", "O", "O", "O", "O", "O", "O", "O", "O", "O", "O", "O", "O", "O", "O", "O", "O", "O", "O", "O", "O"], "fractional_positions": [[0.085, 0.000, 0.431], [0.915, 0.500, 0.569], [0.429, 0.328, 0.216], [0.571, 0.828, 0.784], [0.170, 0.699, 0.375], [0.229, 0.787, 0.285], [0.771, 0.287, 0.715], [0.830, 0.199, 0.625], [0.146, 0.866, 0.929], [0.251, 0.254, 0.698], [0.256, 0.558, 0.133], [0.475, 0.091, 0.234], [0.525, 0.591, 0.766], [0.744, 0.058, 0.867], [0.749, 0.754, 0.302], [0.854, 0.366, 0.071], [0.051, 0.593, 0.895], [0.060, 0.345, 0.584], [0.080, 0.155, 0.582], [0.089, 0.976, 0.787], [0.199, 0.910, 0.181], [0.235, 0.718, 0.288], [0.243, 0.249, 0.945], [0.251, 0.432, 0.049], [0.277, 0.298, 0.324], [0.288, 0.528, 0.644], [0.387, 0.898, 0.617], [0.392, 0.085, 0.437], [0.408, 0.710, 0.718], [0.416, 0.847, 0.990], [0.479, 0.600, 0.104], [0.521, 0.100, 0.896], [0.584, 0.347, 0.010], [0.592, 0.210, 0.282], [0.608, 0.585, 0.563], [0.613, 0.398, 0.383], [0.712, 0.028, 0.356], [0.723, 0.798, 0.676], [0.749, 0.932, 0.951], [0.757, 0.749, 0.055], [0.765, 0.218, 0.712], [0.801, 0.410, 0.819], [0.911, 0.476, 0.213], [0.920, 0.655, 0.418], [0.940, 0.845, 0.416], [0.949, 0.093, 0.105]], "dft_energy_ev_per_atom": -5.33, "formation_energy_ev_per_atom": -1.46}


{"formula": "MgFe3P3O12", "functional": "PBE+U", "state": "relaxed", "lattice": [[5.380, 0.000, 0.000], [2.603, 4.952, 0.000], [0.028, 0.010, 11.284]], "species": ["Mg", "Fe", "Fe", "Fe", "P", "P", "P", "O", "O", "O", "O", "O", "O", "O", "O", "O", "O", "O", "O"], "fractional_positions": [[0.000, 0.000, 0.000], [0.004, 0.521, 0.338], [0.469, 0.002, 0.666], [0.506, 0.505, 0.004], [0.491, 0.012, 0.165], [0.505, 0.484, 0.499], [0.977, 0.526, 0.846], [0.132, 0.644, 0.930], [0.178, 0.332, 0.757], [0.243, 0.238, 0.229], [0.261, 0.616, 0.404], [0.363, 0.867, 0.085], [0.448, 0.685, 0.598], [0.528, 0.213, 0.538], [0.630, 0.138, 0.079], [0.711, 0.772, 0.806], [0.727, 0.805, 0.241], [0.786, 0.424, 0.433], [0.888, 0.357, 0.936]], "dft_energy_ev_per_atom": -7.01, "formation_energy_ev_per_atom": -2.39, "de_polymorph_mev_per_atom": 8.4}


{"formula": "Mn6O5F7", "functional": "PBE+U", "state": "relaxed", "lattice": [[5.152, 0.000, 0.000], [-0.009, 5.764, 0.000], [-1.171, -0.025, 14.559]], "species": ["Mn", "Mn", "Mn", "Mn", "Mn", "Mn", "Mn", "Mn", "Mn", "Mn", "Mn", "Mn", "O", "O", "O", "O", "O", "O", "O", "O", "O", "O", "F", "F", "F", "F", "F", "F", "F", "F", "F", "F", "F", "F", "F", "F"], "fractional_positions": [[0.000, 0.000, 0.000], [0.004, 0.350, 0.504], [0.039, 0.905, 0.662], [0.050, 0.566, 0.164], [0.088, 0.352, 0.824], [0.095, 0.055, 0.336], [0.493, 0.355, 0.003], [0.504, 0.043, 0.504], [0.523, 0.920, 0.162], [0.542, 0.609, 0.662], [0.566, 0.373, 0.334], [0.576, 0.047, 0.819], [0.194, 0.106, 0.573], [0.209, 0.830, 0.095], [0.288, 0.123, 0.901], [0.310, 0.276, 0.419], [0.372, 0.846, 0.729], [0.379, 0.134, 0.260], [0.673, 0.100, 0.068], [0.705, 0.846, 0.593], [0.812, 0.121, 0.426], [0.891, 0.103, 0.756], [0.172, 0.314, 0.075], [0.175, 0.595, 0.583], [0.278, 0.567, 0.916], [0.304, 0.811, 0.415], [0.409, 0.635, 0.244], [0.418, 0.362, 0.745], [0.681, 0.359, 0.586], [0.695, 0.598, 0.084], [0.766, 0.826, 0.906], [0.779, 0.298, 0.910], [0.795, 0.567, 0.422], [0.875, 0.871, 0.241], [0.877, 0.359, 0.258], [0.911, 0.597, 0.745]], "dft_energy_ev_per_atom": -6.64, "formation_energy_ev_per_atom": -2.40, "de_polymorph_mev_per_atom": 42.4}


{"formula": "Li7Mn5O12", "functional": "PBE+U", "state": "relaxed", "lattice": [[5.222, 0.000, 0.000], [2.021, 5.670, 0.000], [2.024, 1.231, 7.420]], "species": ["Li", "Li", "Li", "Li", "Li", "Li", "Li", "Mn", "Mn", "Mn", "Mn", "Mn", "O", "O", "O", "O", "O", "O", "O", "O", "O", "O", "O", "O"], "fractional_positions": [[0.000, 0.000, 0.000], [0.000, 0.500, 0.000], [0.004, 0.342, 0.661], [0.005, 0.827, 0.661], [0.500, 0.500, 0.500], [0.995, 0.173, 0.339], [0.996, 0.658, 0.339], [0.494, 0.662, 0.829], [0.499, 0.169, 0.829], [0.500, 0.000, 0.500], [0.501, 0.831, 0.171], [0.506, 0.338, 0.171], [0.260, 0.985, 0.737], [0.264, 0.654, 0.073], [0.272, 0.317, 0.407], [0.274, 0.488, 0.758], [0.284, 0.157, 0.081], [0.287, 0.851, 0.414], [0.713, 0.149, 0.586], [0.716, 0.843, 0.919], [0.726, 0.512, 0.242], [0.728, 0.683, 0.593], [0.736, 0.346, 0.927], [0.740, 0.015, 0.263]], "dft_energy_ev_per_atom": -6.38, "formation_energy_ev_per_atom": -2.13, "de_polymorph_mev_per_atom": 27.4}


{"formula": "Li2VOF4", "functional": "PBE+U", "state": "relaxed", "lattice": [[5.095, 0.000, 0.000], [-2.546, 5.196, 0.000], [-0.003, -2.548, 6.584]], "species": ["Li", "Li", "Li", "Li", "V", "V", "O", "O", "F", "F", "F", "F", "F", "F", "F", "F"], "fractional_positions": [[0.000, 0.000, 0.000], [0.001, 0.000, 0.500], [0.277, 0.571, 0.488], [0.294, 0.571, 0.988], [0.625, 0.281, 0.270], [0.656, 0.281, 0.769], [0.491, 0.280, 0.492], [0.788, 0.278, 0.992], [0.050, 0.455, 0.702], [0.235, 0.111, 0.783], [0.306, 0.926, 0.098], [0.405, 0.454, 0.201], [0.620, 0.926, 0.598], [0.664, 0.637, 0.882], [0.877, 0.111, 0.284], [0.974, 0.638, 0.382]], "dft_energy_ev_per_atom": -5.69, "formation_energy_ev_per_atom": -3.03, "de_polymorph_mev_per_atom": 5.0}


{"formula": "LiMnP2H2O8", "functional": "PBE+U", "state": "relaxed", "lattice": [[5.139, -7.963, 0.000], [5.139, 7.963, 0.000], [-4.928, 0.000, 7.343]], "species": ["Li", "Li", "Li", "Li", "Mn", "Mn", "Mn", "Mn", "P", "P", "P", "P", "P", "P", "P", "P", "H", "H", "H", "H", "H", "H", "H", "H", "O", "O", "O", "O", "O", "O", "O", "O", "O", "O", "O", "O", "O", "O", "O", "O", "O", "O", "O", "O", "O", "O", "O", "O", "O", "O", "O", "O", "O", "O", "O", "O"], "fractional_positions": [[0.171, 0.829, 0.500], [0.256, 0.643, 0.961], [0.643, 0.256, 0.461], [0.829, 0.171, 0.000], [0.188, 0.910, 0.161], [0.460, 0.682, 0.689], [0.682, 0.460, 0.189], [0.910, 0.188, 0.661], [0.003, 0.464, 0.465], [0.352, 0.398, 0.839], [0.398, 0.352, 0.339], [0.464, 0.003, 0.965], [0.479, 0.861, 0.406], [0.861, 0.479, 0.906], [0.884, 0.896, 0.313], [0.896, 0.884, 0.813], [0.132, 0.366, 0.341], [0.170, 0.184, 0.070], [0.184, 0.170, 0.570], [0.366, 0.132, 0.841], [0.557, 0.714, 0.244], [0.694, 0.829, 0.051], [0.714, 0.557, 0.744], [0.829, 0.694, 0.551], [0.010, 0.340, 0.298], [0.041, 0.888, 0.313], [0.046, 0.647, 0.981], [0.063, 0.966, 0.999], [0.176, 0.371, 0.827], [0.195, 0.615, 0.612], [0.248, 0.313, 0.161], [0.312, 0.869, 0.350], [0.313, 0.248, 0.661], [0.340, 0.010, 0.798], [0.351, 0.896, 0.029], [0.371, 0.176, 0.327], [0.373, 0.453, 0.491], [0.448, 0.721, 0.224], [0.453, 0.373, 0.991], [0.465, 0.587, 0.867], [0.493, 0.797, 0.543], [0.552, 0.914, 0.886], [0.587, 0.465, 0.367], [0.615, 0.195, 0.112], [0.647, 0.046, 0.481], [0.721, 0.448, 0.724], [0.726, 0.734, 0.786], [0.734, 0.726, 0.286], [0.797, 0.493, 0.043], [0.801, 0.938, 0.161], [0.869, 0.312, 0.850], [0.888, 0.041, 0.813], [0.896, 0.351, 0.529], [0.914, 0.552, 0.386], [0.938, 0.801, 0.661], [0.966, 0.063, 0.499]], "dft_energy_ev_per_atom": -6.64, "formation_energy_ev_per_atom": -2.28, "de_polymorph_mev_per_atom": 19.8}


{"formula": "VFeCoO4", "functional": "PBE+U", "state": "relaxed", "lattice": [[-3.024, 3.028, 4.291], [3.024, -3.028, 4.291], [3.024, 3.028, -4.291]], "species": ["V", "V", "Fe", "Fe", "Co", "Co", "O", "O", "O", "O", "O", "O", "O", "O"], "fractional_positions": [[0.377, 0.127, 0.250], [0.623, 0.873, 0.750], [0.000, 0.500, 0.500], [0.500, 0.500, 0.000], [0.000, 0.000, 0.500], [0.000, 0.500, 0.000], [0.229, 0.739, 0.490], [0.247, 0.267, 0.520], [0.247, 0.727, 0.980], [0.252, 0.261, 0.990], [0.748, 0.739, 0.010], [0.753, 0.273, 0.020], [0.753, 0.733, 0.480], [0.771, 0.261, 0.510]], "dft_energy_ev_per_atom": -6.87, "formation_energy_ev_per_atom": -1.71}


{"formula": "Li2VFeP2H2O10", "functional": "PBE+U", "state": "relaxed", "lattice": [[5.449, 0.000, 0.000], [-2.067, 7.107, 0.000], [-1.900, -3.202, 9.450]], "species": ["Li", "Li", "Li", "Li", "V", "V", "Fe", "Fe", "P", "P", "P", "P", "H", "H", "H", "H", "O", "O", "O", "O", "O", "O", "O", "O", "O", "O", "O", "O", "O", "O", "O", "O", "O", "O", "O", "O"], "fractional_positions": [[0.022, 0.452, 0.126], [0.478, 0.048, 0.373], [0.522, 0.952, 0.627], [0.978, 0.548, 0.874], [0.000, 0.500, 0.500], [0.500, 0.000, 0.000], [0.000, 0.000, 0.500], [0.500, 0.500, 0.000], [0.023, 0.893, 0.163], [0.478, 0.607, 0.338], [0.522, 0.393, 0.662], [0.977, 0.107, 0.837], [0.120, 0.843, 0.680], [0.380, 0.661, 0.819], [0.620, 0.339, 0.181], [0.880, 0.157, 0.320], [0.065, 0.885, 0.317], [0.102, 0.325, 0.942], [0.131, 0.806, 0.581], [0.158, 0.985, 0.862], [0.193, 0.508, 0.347], [0.308, 0.992, 0.155], [0.342, 0.517, 0.637], [0.374, 0.698, 0.919], [0.398, 0.176, 0.558], [0.435, 0.612, 0.183], [0.565, 0.388, 0.817], [0.602, 0.824, 0.442], [0.626, 0.302, 0.081], [0.658, 0.483, 0.363], [0.692, 0.008, 0.845], [0.807, 0.492, 0.653], [0.842, 0.015, 0.138], [0.869, 0.194, 0.419], [0.898, 0.675, 0.058], [0.935, 0.115, 0.683]], "dft_energy_ev_per_atom": -6.68, "formation_energy_ev_per_atom": -2.37, "de_polymorph_mev_per_atom": 0.0}